A geometry-optimized HfFeSi2 structure, computed with r²SCAN.

- Energy relative to the elements: -0.557 eV/atom

a = 9.5949 Å, b = 9.5953 Å, c = 9.5950 Å
α = 149.15°, β = 132.97°, γ = 57.31°
Last column: nearest neighbours and their distance in Å.
Element x y z (fractional)
Si 0.5000 0.7430 0.2430  2 Fe 2.29, 1 Si 2.48
Fe 0.7453 0.0000 0.7453  6 Si 2.29-2.46
Si 0.7025 0.7024 0.0000  4 Fe 2.44, 3 Hf 2.62-2.69
Si 0.0000 0.7468 0.7468  2 Fe 2.34, 2 Si 2.52-2.58
Hf 0.3336 0.5961 0.7375  8 Si 2.69-2.86, 2 Fe 2.89
Fe 0.2547 0.0000 0.2547  6 Si 2.29-2.46
Si 0.5115 0.8602 0.6513  1 Si 2.32, 3 Fe 2.37-2.46
Si 0.4885 0.1398 0.3487  1 Si 2.32, 3 Fe 2.37-2.46
Fe 0.5000 0.0000 0.0000  6 Si 2.37-2.44, 2 Fe 2.55
Si 0.2975 0.2976 0.0000  4 Fe 2.44, 3 Hf 2.62-2.69
Si 0.5000 0.2570 0.7570  2 Fe 2.29, 1 Si 2.48
Si 0.0000 0.2532 0.2532  2 Fe 2.34, 2 Si 2.52-2.58
Fe 0.5000 0.5000 0.5000  6 Si 2.37-2.44, 2 Fe 2.55
Si 0.7912 0.1399 0.6513  1 Si 2.32, 3 Fe 2.37-2.46
Hf 0.1420 0.1420 0.0000  7 Si 2.62-2.84, 4 Fe 2.93
Hf 0.8580 0.8580 0.0000  7 Si 2.62-2.84, 4 Fe 2.93
Si 0.2088 0.8601 0.3487  1 Si 2.32, 3 Fe 2.37-2.46
Si 0.2158 0.7158 0.5000  4 Fe 2.37
Fe 0.0000 0.0000 0.5000  6 Si 2.37-2.44, 2 Fe 2.55
Fe 0.0000 0.5000 0.0000  6 Si 2.37-2.44, 2 Fe 2.55
Hf 0.6664 0.4039 0.2625  8 Si 2.69-2.86, 2 Fe 2.89
Hf 0.1414 0.4039 0.7375  8 Si 2.69-2.86, 2 Fe 2.89
Hf 0.8586 0.5961 0.2625  8 Si 2.69-2.86, 2 Fe 2.89
Si 0.7842 0.2842 0.5000  4 Fe 2.37

---

A geometry-optimized LiAgF4 structure, computed with r²SCAN.

- Energy above the lowest structure with this stoichiometry: 14 meV/atom
- Energy relative to the elements: -1.864 eV/atom

a = 4.7024 Å, b = 5.4235 Å, c = 11.0965 Å
α = 90.00°, β = 90.00°, γ = 90.00°
Last column: nearest neighbours and their distance in Å.
Element x y z (fractional)
F 0.7265 0.6211 0.2964  1 Ag 1.93, 1 Li 1.99
Li 0.5000 0.2500 0.5658  4 F 1.91-1.99
F 0.2265 0.3789 0.2036  1 Ag 1.93, 1 Li 1.99
Ag 0.0000 0.2500 0.3348  4 F 1.93-1.96
F 0.2459 0.9071 0.0480  1 Li 1.91, 1 Ag 1.96
Li 0.0000 0.7500 0.9342  4 F 1.91-1.99
F 0.2459 0.4071 0.9520  1 Li 1.91, 1 Ag 1.96
F 0.2735 0.8789 0.2964  1 Ag 1.93, 1 Li 1.99
Ag 0.0000 0.7500 0.6652  4 F 1.93-1.96
F 0.7541 0.5929 0.0480  1 Li 1.91, 1 Ag 1.96
Li 0.0000 0.2500 0.0658  4 F 1.91-1.99
Li 0.5000 0.7500 0.4342  4 F 1.91-1.99
F 0.7459 0.0929 0.4520  1 Li 1.91, 1 Ag 1.96
F 0.2265 0.8789 0.7964  1 Ag 1.93, 1 Li 1.99
F 0.2541 0.9071 0.5480  1 Li 1.91, 1 Ag 1.96
Ag 0.5000 0.7500 0.1652  4 F 1.93-1.96
F 0.2541 0.4071 0.4520  1 Li 1.91, 1 Ag 1.96
F 0.7459 0.5929 0.5480  1 Li 1.91, 1 Ag 1.96
F 0.7265 0.1211 0.7036  1 Ag 1.93, 1 Li 1.99
F 0.7735 0.1211 0.2036  1 Ag 1.93, 1 Li 1.99
F 0.7541 0.0929 0.9520  1 Li 1.91, 1 Ag 1.96
F 0.7735 0.6211 0.7964  1 Ag 1.93, 1 Li 1.99
Ag 0.5000 0.2500 0.8348  4 F 1.93-1.96
F 0.2735 0.3789 0.7036  1 Ag 1.93, 1 Li 1.99

---

A geometry-optimized TlGaCl4 structure, computed with r²SCAN.

- Energy relative to the elements: -1.282 eV/atom

a = 7.0628 Å, b = 9.4487 Å, c = 10.7204 Å
α = 90.00°, β = 90.00°, γ = 90.00°
Last column: nearest neighbours and their distance in Å.
Element x y z (fractional)
Cl 0.7500 0.9426 0.2311  1 Ga 2.18
Cl 0.5003 0.8234 0.5662  1 Ga 2.19
Ga 0.7500 0.6861 0.5621  4 Cl 2.17-2.19
Tl 0.2500 0.7101 0.8046  6 Cl 3.29-3.33
Cl 0.0003 0.3234 0.9338  1 Ga 2.19
Cl 0.7500 0.9385 0.8916  1 Ga 2.17
Ga 0.7500 0.8139 0.0621  4 Cl 2.17-2.19
Cl 0.2500 0.4385 0.6084  1 Ga 2.17
Cl 0.0003 0.1766 0.4338  1 Ga 2.19
Cl 0.7500 0.5615 0.3916  1 Ga 2.17
Ga 0.2500 0.1861 0.9379  4 Cl 2.17-2.19
Cl 0.9997 0.6766 0.0662  1 Ga 2.19
Ga 0.2500 0.3139 0.4379  4 Cl 2.17-2.19
Cl 0.7500 0.5574 0.7311  1 Ga 2.18
Cl 0.2500 0.0615 0.1084  1 Ga 2.17
Tl 0.2500 0.7899 0.3046  6 Cl 3.29-3.33
Cl 0.2500 0.0574 0.7689  1 Ga 2.18
Cl 0.9997 0.8234 0.5662  1 Ga 2.19
Tl 0.7500 0.2101 0.6954  6 Cl 3.29-3.33
Cl 0.2500 0.4426 0.2689  1 Ga 2.18
Cl 0.4997 0.1766 0.4338  1 Ga 2.19
Cl 0.4997 0.3234 0.9338  1 Ga 2.19
Tl 0.7500 0.2899 0.1954  6 Cl 3.29-3.33
Cl 0.5003 0.6766 0.0662  1 Ga 2.19

---

A geometry-optimized MgZnAg2 structure, computed with r²SCAN.

- Energy relative to the elements: -0.133 eV/atom

a = 4.5410 Å, b = 4.5410 Å, c = 4.5410 Å
α = 60.00°, β = 60.00°, γ = 60.00°
Last column: nearest neighbours and their distance in Å.
Element x y z (fractional)
Ag 0.2500 0.2500 0.2500  4 Mg 2.78, 4 Zn 2.78
Ag 0.7500 0.7500 0.7500  4 Zn 2.78, 4 Mg 2.78
Mg 0.0000 0.0000 0.0000  8 Ag 2.78
Zn 0.5000 0.5000 0.5000  8 Ag 2.78

---

A geometry-optimized V2FeO6 structure, computed with r²SCAN.

- Energy relative to the elements: -2.266 eV/atom

a = 6.6805 Å, b = 6.6807 Å, c = 5.7546 Å
α = 74.96°, β = 105.06°, γ = 96.28°
Last column: nearest neighbours and their distance in Å.
Element x y z (fractional)
O 0.9149 0.6259 0.2297  1 V 1.68
Fe 0.9153 0.9157 0.2498  6 O 1.97-2.13
V 0.3900 0.7947 0.2555  4 O 1.68-1.77
O 0.1917 0.9635 0.1385  1 V 1.72
V 0.7947 0.3902 0.2445  4 O 1.68-1.77
O 0.3742 0.0853 0.7296  1 V 1.68
O 0.0851 0.3741 0.7703  1 V 1.68
V 0.2053 0.6098 0.7555  4 O 1.68-1.77
O 0.8083 0.0365 0.8615  1 V 1.72
Fe 0.0847 0.0843 0.7502  6 O 1.97-2.13
O 0.3740 0.6500 0.5544  2 V 1.76-1.77
O 0.6260 0.3499 0.4456  2 V 1.76-1.77
V 0.6100 0.2053 0.7445  4 O 1.68-1.77
O 0.6501 0.3740 0.9458  2 V 1.76-1.77
O 0.9633 0.1916 0.3615  1 V 1.72
O 0.6258 0.9147 0.2704  1 V 1.68
O 0.0367 0.8084 0.6385  1 V 1.72
O 0.3500 0.6259 0.0542  2 V 1.76-1.77

---

A geometry-optimized Yb3H2Pb structure, computed with r²SCAN.

- Energy relative to the elements: -0.581 eV/atom

a = 6.7665 Å, b = 6.7665 Å, c = 5.0949 Å
α = 90.00°, β = 90.00°, γ = 104.43°
Last column: nearest neighbours and their distance in Å.
Element x y z (fractional)
Yb 0.1117 0.8883 0.2500  4 H 2.13
Yb 0.8883 0.1117 0.7500  4 H 2.13
Pb 0.3199 0.6801 0.7500  8 Yb 3.16-3.38
H 0.1470 0.1470 0.5000  4 Yb 2.11-2.13
Yb 0.5970 0.8175 0.2500  2 H 2.11
H 0.1470 0.1470 0.0000  4 Yb 2.11-2.13
Yb 0.1825 0.4030 0.2500  2 H 2.11
H 0.8530 0.8530 0.0000  4 Yb 2.11-2.13
Yb 0.8175 0.5970 0.7500  2 H 2.11
Yb 0.4030 0.1825 0.7500  2 H 2.11
Pb 0.6801 0.3199 0.2500  8 Yb 3.16-3.38
H 0.8530 0.8530 0.5000  4 Yb 2.11-2.13

---

A geometry-optimized LiGaBr4 structure, computed with r²SCAN.

- Energy relative to the elements: -1.247 eV/atom

a = 6.9761 Å, b = 7.4486 Å, c = 13.7108 Å
α = 87.05°, β = 90.00°, γ = 90.00°
Last column: nearest neighbours and their distance in Å.
Element x y z (fractional)
Br 0.1769 0.5677 0.3060  1 Ga 2.32
Br 0.8182 0.6893 0.9497  1 Ga 2.33
Br 0.8142 0.9332 0.1896  1 Ga 2.37
Br 0.3595 0.8122 0.0673  1 Ga 2.37
Ga 0.3279 0.2976 0.8980  4 Br 2.32-2.37
Br 0.1818 0.3107 0.0503  1 Ga 2.33
Br 0.1405 0.8122 0.5673  1 Ga 2.37
Br 0.6405 0.1878 0.9327  1 Ga 2.37
Br 0.8595 0.1878 0.4327  1 Ga 2.37
Li 0.0096 0.1487 0.6235  6 Br 2.64-2.89
Br 0.6858 0.9332 0.6896  1 Ga 2.37
Ga 0.1721 0.2976 0.3980  4 Br 2.32-2.37
Ga 0.8279 0.7024 0.6020  4 Br 2.32-2.37
Br 0.3182 0.3107 0.5503  1 Ga 2.33
Br 0.8231 0.4323 0.6940  1 Ga 2.32
Li 0.9904 0.8513 0.3765  6 Br 2.64-2.89
Br 0.3231 0.5677 0.8060  1 Ga 2.32
Br 0.1858 0.0668 0.8104  1 Ga 2.37
Br 0.6769 0.4323 0.1940  1 Ga 2.32
Ga 0.6721 0.7024 0.1020  4 Br 2.32-2.37
Br 0.3142 0.0668 0.3104  1 Ga 2.37
Li 0.5096 0.8513 0.8765  6 Br 2.64-2.89
Li 0.4904 0.1487 0.1235  6 Br 2.64-2.89
Br 0.6818 0.6893 0.4497  1 Ga 2.33

---

A geometry-optimized Na3ErBr6 structure, computed with r²SCAN.

- Energy relative to the elements: -1.936 eV/atom

a = 7.6614 Å, b = 7.1140 Å, c = 12.9348 Å
α = 55.55°, β = 90.00°, γ = 90.00°
Last column: nearest neighbours and their distance in Å.
Element x y z (fractional)
Br 0.1931 0.0858 0.5796  1 Er 2.77, 2 Na 2.92-3.04
Na 0.4108 0.2287 0.7384  5 Br 2.97-3.22
Br 0.6931 0.9142 0.9204  1 Er 2.77, 2 Na 2.92-3.04
Na 0.0000 0.5000 0.5000  6 Br 2.86-3.01
Br 0.3069 0.0858 0.0796  1 Er 2.77, 2 Na 2.92-3.04
Er 0.5000 0.0000 0.5000  6 Br 2.75-2.78
Na 0.5892 0.7713 0.2616  5 Br 2.97-3.22
Br 0.3220 0.7455 0.4355  1 Er 2.75, 2 Na 2.86-2.97
Er 0.0000 0.0000 0.0000  6 Br 2.75-2.78
Na 0.5000 0.5000 0.0000  6 Br 2.86-3.01
Br 0.1780 0.7455 0.9355  1 Er 2.75, 2 Na 2.86-2.97
Br 0.5611 0.6158 0.7401  1 Er 2.78, 3 Na 2.97-3.01
Br 0.0611 0.3842 0.7599  1 Er 2.78, 3 Na 2.97-3.01
Br 0.9389 0.6158 0.2401  1 Er 2.78, 3 Na 2.97-3.01
Br 0.8220 0.2545 0.0645  1 Er 2.75, 2 Na 2.86-2.97
Na 0.9108 0.7713 0.7616  5 Br 2.97-3.22
Br 0.8069 0.9142 0.4204  1 Er 2.77, 2 Na 2.92-3.04
Br 0.4389 0.3842 0.2599  1 Er 2.78, 3 Na 2.97-3.01
Na 0.0892 0.2287 0.2384  5 Br 2.97-3.22
Br 0.6780 0.2545 0.5645  1 Er 2.75, 2 Na 2.86-2.97

---

| no. | mass density (Mg/m³) | E (eV/atom) | total moment (μB/atom) |
| --- | --- | --- | --- |
| 1 | 8.8 | -19.835 | 0.00 |
| 2 | 4.5 | -7.905 | 0.00 |
| 3 | 3.9 | -16.154 | 0.00 |
| 4 | 7.7 | -14.081 | 0.00 |
| 5 | 3.5 | -10.980 | 0.44 |
| 6 | 10.7 | -29.378 | 0.00 |
| 7 | 3.7 | -12.391 | 0.00 |
| 8 | 4.1 | -14.353 | 0.00 |